# 1
DFT (PBE-GGA) results for LiSn2P3O12 after structural relaxation.

CIF file:
```
data_LiSn2P3O12
_cell_length_a 8.8801
_cell_length_b 12.3485
_cell_length_c 8.7570
_cell_angle_alpha 90.00
_cell_angle_beta 90.00
_cell_angle_gamma 90.00
_symmetry_space_group_name_H-M 'P 21 21 2'
_symmetry_Int_Tables_number 18
_symmetry_space_group_name_Hall 'P 2 2ab'
loop_
_atom_site_label
_atom_site_type_symbol
_atom_site_fract_x
_atom_site_fract_y
_atom_site_fract_z
Li1 Li 0.0310 0.1775 0.4616
Sn1 Sn 0.2092 0.3874 0.5005
Sn2 Sn 0.2148 0.1181 0.9994
P1 P 0.0000 0.0000 0.7099
P2 P 0.0000 0.5000 0.2080
P3 P 0.1415 0.8526 0.1431
P4 P 0.1436 0.6505 0.6467
O1 O 0.0148 0.3142 0.5875
O2 O 0.0222 0.1768 0.1004
O3 O 0.0852 0.9211 0.5997
O4 O 0.0929 0.5765 0.1088
O5 O 0.1017 0.4259 0.3070
O6 O 0.1054 0.0717 0.8021
O7 O 0.1445 0.8447 0.3240
O8 O 0.1466 0.6593 0.8198
O9 O 0.1830 0.5361 0.5923
O10 O 0.1841 0.9676 0.0954
O11 O 0.2356 0.2265 0.4270
O12 O 0.2421 0.2731 0.9212
```

Properties
- Energy with MP2020 corrections: -0.5341 Ry per atom
- Offset from the most stable computed form: 0.28 eV per formula unit
- Magnetization: 0.000 μB per atom
- Total DFT energy (no corrections): -6.808 eV/atom


# 2
DFT (PBE-GGA) results for FeCuS2 after structural relaxation.

CIF file:
```
data_FeCuS2
_cell_length_a 3.6367
_cell_length_b 3.6367
_cell_length_c 5.3232
_cell_angle_alpha 90.00
_cell_angle_beta 90.00
_cell_angle_gamma 90.00
_symmetry_space_group_name_H-M 'P -4 m 2'
_symmetry_Int_Tables_number 115
_symmetry_space_group_name_Hall 'P -4 -2'
loop_
_atom_site_label
_atom_site_type_symbol
_atom_site_fract_x
_atom_site_fract_y
_atom_site_fract_z
Fe1 Fe 0.0000 0.0000 0.0000
Cu1 Cu 0.0000 0.0000 0.5000
S1 S 0.0000 0.5000 0.7664
```

Properties
- Energy with MP2020 corrections: -0.4094 Ry per atom
- Magnetization: 0.648 μB per atom
- Total DFT energy (no corrections): -5.319 eV/atom


# 3
DFT (PBE-GGA) results for Si after structural relaxation.

CIF file:
```
data_Si
_cell_length_a 3.8538
_cell_length_b 10.7531
_cell_length_c 12.7275
_cell_angle_alpha 90.00
_cell_angle_beta 90.00
_cell_angle_gamma 90.00
_symmetry_space_group_name_H-M 'C m c m'
_symmetry_Int_Tables_number 63
_symmetry_space_group_name_Hall '-C 2c 2'
loop_
_atom_site_label
_atom_site_type_symbol
_atom_site_fract_x
_atom_site_fract_y
_atom_site_fract_z
Si1 Si 0.0000 0.0287 0.0905
Si2 Si 0.0000 0.2427 0.0547
Si3 Si 0.0000 0.4288 0.1570
```

Properties
- Offset from the most stable computed form: 0.10 eV per formula unit
- Total DFT energy (no corrections): -5.329 eV/atom


# 4
DFT (PBE-GGA) results for Tm2MgSe4 after structural relaxation.

CIF file:
```
data_Tm2MgSe4
_cell_length_a 8.0650
_cell_length_b 7.7248
_cell_length_c 11.9454
_cell_angle_alpha 90.00
_cell_angle_beta 90.00
_cell_angle_gamma 90.00
_symmetry_space_group_name_H-M 'P n m a'
_symmetry_Int_Tables_number 62
_symmetry_space_group_name_Hall '-P 2ac 2n'
loop_
_atom_site_label
_atom_site_type_symbol
_atom_site_fract_x
_atom_site_fract_y
_atom_site_fract_z
Tm1 Tm 0.0508 0.2500 0.0165
Tm2 Tm 0.0596 0.7500 0.3097
Mg1 Mg 0.1719 0.2500 0.4009
Se1 Se 0.1204 0.7500 0.5399
Se2 Se 0.1206 0.5052 0.8410
Se3 Se 0.2374 0.7500 0.1132
```

Properties
- Energy with MP2020 corrections: -0.3828 Ry per atom
- Offset from the most stable computed form: 1.78 eV per formula unit
- Magnetization: 0.000 μB per atom
- Total DFT energy (no corrections): -4.939 eV/atom


# 5
DFT (PBE-GGA) results for CsC after structural relaxation.

CIF file:
```
data_CsC
_cell_length_a 9.7944
_cell_length_b 5.0556
_cell_length_c 10.4913
_cell_angle_alpha 90.00
_cell_angle_beta 90.00
_cell_angle_gamma 90.00
_symmetry_space_group_name_H-M 'P n m a'
_symmetry_Int_Tables_number 62
_symmetry_space_group_name_Hall '-P 2ac 2n'
loop_
_atom_site_label
_atom_site_type_symbol
_atom_site_fract_x
_atom_site_fract_y
_atom_site_fract_z
Cs1 Cs 0.0158 0.2500 0.1675
Cs2 Cs 0.1574 0.2500 0.5688
C1 C 0.1776 0.7500 0.3470
C2 C 0.2100 0.2500 0.9074
```

Properties
- Magnetization: 0.000 μB per atom
- Total DFT energy (no corrections): -4.722 eV/atom


# 6
DFT (PBE-GGA) results for Hf2Al3Ni after structural relaxation.

CIF file:
```
data_Hf2Al3Ni
_cell_length_a 5.2434
_cell_length_b 5.2434
_cell_length_c 12.3442
_cell_angle_alpha 90.00
_cell_angle_beta 90.00
_cell_angle_gamma 120.00
_symmetry_space_group_name_H-M 'R -3 m'
_symmetry_Int_Tables_number 166
_symmetry_space_group_name_Hall '-R 3 2"'
loop_
_atom_site_label
_atom_site_type_symbol
_atom_site_fract_x
_atom_site_fract_y
_atom_site_fract_z
Hf1 Hf 0.0000 0.0000 0.1265
Al1 Al 0.0000 0.5000 0.0000
Ni1 Ni 0.0000 0.0000 0.5000
```

Properties
- Total DFT energy (no corrections): -6.690 eV/atom


# 7
DFT (PBE-GGA) results for Te4Mo3WSe2S2 after structural relaxation.

CIF file:
```
data_Te4Mo3WSe2S2
_cell_length_a 3.3991
_cell_length_b 3.3991
_cell_length_c 38.7080
_cell_angle_alpha 90.00
_cell_angle_beta 90.00
_cell_angle_gamma 120.00
_symmetry_space_group_name_H-M 'P 3 m 1'
_symmetry_Int_Tables_number 156
_symmetry_space_group_name_Hall 'P 3 -2"'
loop_
_atom_site_label
_atom_site_type_symbol
_atom_site_fract_x
_atom_site_fract_y
_atom_site_fract_z
Te1 Te 0.0000 0.0000 0.0000
Te2 Te 0.0000 0.0000 0.0973
Te3 Te 0.0000 0.0000 0.3760
Te4 Te 0.0000 0.0000 0.4728
Mo1 Mo 0.0000 0.0000 0.2365
Mo2 Mo 0.0000 0.0000 0.8608
Mo3 Mo 0.3333 0.6667 0.4244
W1 W 0.3333 0.6667 0.0487
Se1 Se 0.3333 0.6667 0.1939
Se2 Se 0.3333 0.6667 0.2791
S1 S 0.3333 0.6667 0.8220
S2 S 0.3333 0.6667 0.8996
```

Properties
- Energy with MP2020 corrections: -0.4860 Ry per atom
- Offset from the most stable computed form: 0.43 eV per formula unit
- Magnetization: 0.000 μB per atom
- Total DFT energy (no corrections): -6.528 eV/atom


# 8
DFT (PBE-GGA) results for ZnSn4O9 after structural relaxation.

CIF file:
```
data_ZnSn4O9
_cell_length_a 8.1790
_cell_length_b 8.1790
_cell_length_c 5.0789
_cell_angle_alpha 90.00
_cell_angle_beta 90.00
_cell_angle_gamma 90.00
_symmetry_space_group_name_H-M 'P 4/n'
_symmetry_Int_Tables_number 85
loop_
_symmetry_equiv_pos_as_xyz
'x,y,z'
'-x,-y,-z'
'-y+1/2,x,z'
'y+1/2,-x,-z'
'-x+1/2,-y+1/2,z'
'x+1/2,y+1/2,-z'
'y,-x+1/2,z'
'-y,x+1/2,-z'
loop_
_atom_site_label
_atom_site_type_symbol
_atom_site_fract_x
_atom_site_fract_y
_atom_site_fract_z
Zn1 Zn 0.2500 0.2500 0.2037
Sn1 Sn 0.0632 0.8671 0.2739
O1 O 0.0043 0.7644 0.9163
O2 O 0.0388 0.3533 0.5663
O3 O 0.2500 0.7500 0.5000
```

Properties
- Energy with MP2020 corrections: -0.4581 Ry per atom
- Magnetization: 0.000 μB per atom
- Total DFT energy (no corrections): -5.791 eV/atom


# 9
DFT (PBE-GGA) results for KTi6O12 after structural relaxation.

CIF file:
```
data_KTi6O12
_cell_length_a 10.2876
_cell_length_b 10.2876
_cell_length_c 8.9485
_cell_angle_alpha 90.00
_cell_angle_beta 90.00
_cell_angle_gamma 90.00
_symmetry_space_group_name_H-M 'I 4/m'
_symmetry_Int_Tables_number 87
_symmetry_space_group_name_Hall '-I 4'
loop_
_atom_site_label
_atom_site_type_symbol
_atom_site_fract_x
_atom_site_fract_y
_atom_site_fract_z
K1 K 0.0000 0.0000 0.2271
Ti1 Ti 0.1505 0.6669 0.1661
Ti2 Ti 0.1502 0.6682 0.5000
O1 O 0.0398 0.3336 0.1668
O2 O 0.0397 0.3345 0.5000
O3 O 0.1561 0.7950 0.3330
O4 O 0.1558 0.7956 0.0000
```

Properties
- Energy with MP2020 corrections: -0.6665 Ry per atom
- Total DFT energy (no corrections): -8.634 eV/atom


# 10
DFT (PBE-GGA) results for CaTi8S16 after structural relaxation.

CIF file:
```
data_CaTi8S16
_cell_length_a 6.8404
_cell_length_b 6.8404
_cell_length_c 13.3771
_cell_angle_alpha 90.00
_cell_angle_beta 90.00
_cell_angle_gamma 120.00
_symmetry_space_group_name_H-M 'P -3 m 1'
_symmetry_Int_Tables_number 164
_symmetry_space_group_name_Hall '-P 3 2"'
loop_
_atom_site_label
_atom_site_type_symbol
_atom_site_fract_x
_atom_site_fract_y
_atom_site_fract_z
Ca1 Ca 0.0000 0.0000 0.0000
Ti1 Ti 0.0000 0.0000 0.2623
Ti2 Ti 0.0045 0.5023 0.2572
S1 S 0.1669 0.3339 0.8514
S2 S 0.1674 0.3348 0.3643
S3 S 0.3333 0.6667 0.1479
S4 S 0.3333 0.6667 0.6394
```

Properties
- Energy with MP2020 corrections: -0.5119 Ry per atom
- Total DFT energy (no corrections): -6.643 eV/atom


# 11
DFT (PBE-GGA) results for Ca3SiO5 after structural relaxation.

CIF file:
```
data_Ca3SiO5
_cell_length_a 7.2509
_cell_length_b 7.2509
_cell_length_c 5.5578
_cell_angle_alpha 90.00
_cell_angle_beta 90.00
_cell_angle_gamma 120.00
_symmetry_space_group_name_H-M 'P 63 m c'
_symmetry_Int_Tables_number 186
_symmetry_space_group_name_Hall 'P 6c -2c'
loop_
_atom_site_label
_atom_site_type_symbol
_atom_site_fract_x
_atom_site_fract_y
_atom_site_fract_z
Ca1 Ca 0.1510 0.3021 0.0000
Si1 Si 0.3333 0.6667 0.4699
O1 O 0.0000 0.0000 0.2587
O2 O 0.2093 0.4186 0.5699
O3 O 0.3333 0.6667 0.1689
```

Properties
- Energy with MP2020 corrections: -0.5461 Ry per atom
- Offset from the most stable computed form: 0.08 eV per formula unit
- Magnetization: 0.000 μB per atom
- Total DFT energy (no corrections): -7.048 eV/atom
- Largest piezoelectric modulus: 1.03 C/m²


What is the total DFT energy (no corrections) in the fifth record? -4.722 eV/atom